# 1
16
Lattice="-4.0303 -4.8762 1.0001 2.2160 1.0596 -5.8128 8.0101 -6.2270 1.9185" Properties=species:S:1:pos:R:3 comment="Mg14ZrSn GGA-PBE relaxed" e_above_lowest_polymorph_ev_per_fu=0.00 ef_mev_per_atom=-34 magnetic_moment_mub_per_cell=0.0 crystal_system=orthorhombic total_energy_ev_per_cell=-35.509 pbc="T T T"
Mg 3.1372 -3.2582 -2.8092
Mg 5.0735 -4.3511 -0.5717
Mg 6.1820 -3.8205 -3.4778
Mg 0.1642 -3.1450 -3.9469
Mg -0.9508 -3.6782 -1.0221
Mg 6.0364 -6.8917 1.0308
Mg 0.0075 -6.2312 0.5797
Mg 4.1664 -6.2588 -2.9766
Mg 4.0138 -9.3456 1.5392
Mg 1.1263 -5.6897 -2.3205
Mg 5.1286 -8.8011 -1.3619
Mg 7.1352 -6.3663 -1.8516
Mg 3.0593 -6.7882 -0.0724
Mg 2.0384 -3.7836 0.0732
Zr 1.0723 -1.2319 -1.5285
Sn 2.1759 -0.7086 -4.4377

# 2
40
Lattice="7.9247 0.0000 0.0000 -0.0168 7.9304 0.0000 -0.0141 -0.0157 7.9930" Properties=species:S:1:pos:R:3 comment="Na3SrTiNb3O12 GGA-PBE relaxed" e_above_lowest_polymorph_ev_per_fu=0.08 ef_mev_per_atom=-2989 magnetic_moment_mub_per_cell=0.0 crystal_system=triclinic total_energy_ev_per_cell=-309.527 pbc="T T T"
Nb 3.9469 3.9574 3.9965
Nb 3.9623 0.0000 0.0000
Nb -0.0155 3.9574 3.9965
Nb -0.0071 -0.0079 3.9965
Nb 0.0000 0.0000 0.0000
Nb 3.9539 3.9652 0.0000
O 3.6747 1.9674 7.9672
O 0.0774 3.9806 1.9932
O 3.8533 3.9944 1.9976
O 4.0485 0.0248 5.9922
O 7.6181 1.9748 3.9894
O 3.6738 5.9468 4.0118
O 4.2200 1.9679 3.9812
O 0.2756 5.9399 4.0036
O 4.2190 5.9473 0.0258
O 1.9513 7.6053 7.9197
O 5.9424 0.3094 0.0733
O 1.9798 0.2210 4.0455
O 3.8452 7.8899 2.0008
O 7.8073 0.0083 5.9960
O 5.9139 7.6937 3.9475
O 5.9272 4.2213 3.9432
O 0.2180 1.9731 7.9511
O 1.9665 3.6934 4.0499
O 1.9519 4.2285 7.9428
O 7.8163 3.9342 5.9998
O 0.0864 7.9064 1.9970
O 7.6757 5.9416 0.0419
O 4.0404 3.9203 5.9954
O 5.9418 3.6862 0.0502
Sr 5.9304 1.9743 6.0088
Sr 1.9633 5.9405 1.9842
Na 5.9250 5.9422 2.0131
Na 1.9687 1.9725 5.9799
Na 5.9215 5.9460 6.0049
Na 1.9556 5.9403 6.0037
Na 5.9381 1.9744 1.9893
Na 1.9723 1.9687 1.9881
Ti -0.0084 3.9652 0.0000
Ti 3.9553 -0.0079 3.9965

# 3
3
Lattice="2.8828 1.7094 -1.0047 -0.0898 -1.6020 3.1093 2.4703 -5.9156 -2.9765" Properties=species:S:1:pos:R:3 comment="TiBr2 GGA-PBE relaxed" ef_mev_per_atom=-1394 crystal_system=trigonal total_energy_ev_per_cell=-14.283 pbc="T T T"
Ti 0.0000 0.0000 0.0000
Br 2.7802 -4.9981 -0.5262
Br 2.4832 -0.8101 -0.3457

# 4
28
Lattice="-5.0837 -2.2819 -1.3954 3.4703 -4.9095 -4.6142 0.8931 -6.3782 7.1766" Properties=species:S:1:pos:R:3 comment="K3NdP2O8 GGA-PBE relaxed" ef_mev_per_atom=-2973 magnetic_moment_mub_per_cell=0.0 crystal_system=monoclinic total_energy_ev_per_cell=-189.260 pbc="T T T"
O 0.5500 -7.5266 -2.1964
O -1.2703 -6.0430 3.3634
O 1.2813 -4.5585 -3.1255
O -1.4964 -7.0316 -0.7852
O 3.2260 -9.1516 2.5399
O -1.6938 -3.4069 -0.7546
O -2.0016 -9.0112 4.2926
O 0.7761 -6.5380 1.9523
O -1.7007 -8.5369 -2.8142
O 0.9735 -10.1627 1.9216
O -3.9463 -4.4180 -1.3729
O -0.4529 -9.3727 -0.7586
O 0.9804 -5.0328 3.9812
O -0.2674 -4.1970 1.9257
O -0.3865 -6.6889 6.4347
O -0.3338 -6.8808 -5.2676
K 0.7853 -8.1270 4.5173
K 2.0139 -8.2022 0.1642
K -1.5056 -5.4426 -3.3503
K -2.7342 -5.3675 1.0029
K 0.7581 -5.0240 -0.4580
K -1.4784 -8.5457 1.6250
Nd -1.0666 -1.9312 1.1319
Nd 0.3463 -11.6385 0.0352
P -0.7831 -8.1115 -1.6182
P 0.0628 -5.4582 2.7852
P 2.3600 -10.4482 2.5762
P -3.0803 -3.1215 -1.4092

# 5
16
Lattice="2.3668 6.3278 -2.6927 -6.2841 -2.8217 -2.3328 -2.4153 2.4242 3.5739" Properties=species:S:1:pos:R:3 comment="V5Ge3 GGA-PBE relaxed" e_above_lowest_polymorph_ev_per_fu=0.46 ef_mev_per_atom=-312 crystal_system=hexagonal total_energy_ev_per_cell=-123.573 pbc="T T T"
V -4.6081 1.4402 -0.6659
V -0.0195 6.6091 0.6417
V -0.0290 2.1429 0.2395
V -2.7628 2.6697 1.4598
V -6.5693 -0.3182 0.9141
V -3.5697 3.2606 -2.9115
V -2.1300 -0.0793 0.3269
V -1.7244 4.4901 -0.7858
V -3.4004 0.2281 -2.4528
V -0.5168 3.2780 -2.5728
Ge -4.2777 0.7107 1.7649
Ge -2.1412 1.9821 -1.0789
Ge -4.4216 -1.1082 -0.5238
Ge -0.8826 4.3016 1.6236
Ge 0.8341 4.4504 -0.7425
Ge -4.1913 3.9482 -0.3728

# 6
100
Lattice="14.3537 -0.3419 -0.2048 -0.3182 13.0777 -0.3792 -0.1838 -0.3583 13.9305" Properties=species:S:1:pos:R:3 comment="BaO GGA-PBE relaxed" ef_mev_per_atom=-2625 magnetic_moment_mub_per_cell=0.0 crystal_system=triclinic total_energy_ev_per_cell=-571.474 pbc="T T T"
O 8.2407 10.0748 2.4466
O 0.4237 8.1185 5.9900
O 12.0425 7.5653 1.7019
O 10.4020 0.9404 7.2696
O 13.4644 10.9677 11.8936
O 3.8913 8.4272 8.0409
O 9.3005 5.5263 10.6786
O 6.5500 3.6828 12.6071
O 8.9048 12.4298 11.8938
O 6.6780 9.6512 12.4905
O 9.2642 2.8311 2.4799
O 8.7263 6.2860 3.9303
O 0.5146 11.8916 3.0847
O 4.9244 5.9016 6.5118
O 12.1542 5.4151 4.3890
O 10.7847 11.9072 0.9462
O 8.8646 5.7038 7.2649
O 12.8467 1.5149 4.1502
O 12.3757 3.7002 7.4153
O 1.3456 5.4302 3.9436
O -0.1100 8.1700 10.9034
O 4.1788 0.1870 7.8440
O 4.9117 6.7034 1.7432
O 5.7544 3.4631 3.3619
O 13.6996 11.8971 7.3243
O 2.3694 12.4231 -0.0097
O 5.3209 0.1132 4.7501
O 1.2554 8.1958 0.2652
O 8.5889 6.3611 0.6071
O 12.8556 4.7935 12.0123
O 6.6878 10.8101 6.5879
O 6.9475 8.0762 9.5766
O 6.1875 2.8077 7.3241
O 9.8821 10.6440 8.7988
O 2.9562 4.5628 -0.0293
O 11.9154 7.5518 8.1353
O 3.6993 6.4848 11.1508
O 1.7457 1.3726 11.5406
O 8.9912 2.5648 10.5587
O 1.2715 5.9462 8.4820
O 6.4761 -0.1944 10.3191
O 4.2309 9.2016 4.6044
O 4.6106 10.7243 1.7510
O 2.0776 1.9551 2.1694
O 10.6313 8.4055 11.8469
O 2.5571 10.7335 10.3070
O 11.3690 10.2041 4.9527
O 13.0716 1.6903 0.4121
O 6.4862 0.5152 0.6333
O 12.4652 0.9596 10.5547
Ba 7.1153 4.2709 10.2148
Ba 1.4139 6.0203 12.5283
Ba 3.9625 10.8092 6.6732
Ba 7.6426 10.6921 10.2570
Ba 10.4814 6.8911 5.6677
Ba 1.2163 9.9115 12.4886
Ba 13.0117 9.4031 6.6719
Ba 6.1229 10.8296 3.8795
Ba -0.1345 5.4908 6.2881
Ba 10.0841 0.3218 9.9416
Ba 6.9099 4.6643 5.6024
Ba 7.3205 1.1432 12.3289
Ba 10.5290 5.5518 2.2910
Ba 0.1125 3.2863 2.8083
Ba 1.4246 8.5475 8.7644
Ba 2.9961 7.2374 5.5415
Ba 14.0545 7.1703 3.1946
Ba 11.1170 2.8870 5.2701
Ba 13.8914 2.3190 12.1601
Ba 8.3699 7.5376 12.4815
Ba 3.5281 4.6139 2.5652
Ba 12.6329 7.2916 13.1890
Ba 6.2991 8.0836 7.1199
Ba 0.0150 12.9008 0.8176
Ba 13.3086 12.2248 4.6061
Ba 12.9204 1.1918 8.0394
Ba 3.9385 0.0014 10.2801
Ba 11.1973 1.2034 2.1004
Ba 0.2450 12.5046 10.0935
Ba 4.7029 8.7216 10.5869
Ba 6.8751 1.3092 3.0662
Ba 4.8427 5.5015 13.2274
Ba 7.2549 7.6866 2.4165
Ba 9.4999 11.3204 6.4221
Ba 10.0271 3.8160 8.4461
Ba 13.2219 5.7618 9.5125
Ba 12.0306 9.4948 10.1900
Ba 10.7819 9.8124 2.4500
Ba 10.3060 4.0157 12.2696
Ba 7.4007 4.2018 1.3508
Ba 6.8290 0.4031 7.8246
Ba 3.6607 5.4482 8.7638
Ba 2.9051 12.6528 2.6341
Ba 3.0569 1.6287 13.7475
Ba 11.3385 12.2637 12.5505
Ba 3.3021 8.6698 2.0635
Ba 4.2101 1.9560 6.0618
Ba 8.1738 11.5373 0.2668
Ba 9.4424 7.5103 9.1167
Ba 4.5968 11.2507 13.4504